A plane-wave DFT calculation with GGA-PBE was carried out for a geometry-optimized CuH4C10N4F14 structure.

a = 8.194 Å, b = 10.482 Å, c = 12.652 Å
α = 90.00°, β = 128.78°, γ = 90.00°
Fractional positions:
Cu (0.000, 0.000, 0.000)
Cu (0.000, 0.500, 0.500)
H (0.095, 0.061, 0.231)
H (0.095, 0.439, 0.731)
H (0.334, 0.129, 0.203)
H (0.334, 0.371, 0.703)
H (0.666, 0.629, 0.297)
H (0.666, 0.871, 0.797)
H (0.905, 0.561, 0.269)
H (0.905, 0.939, 0.769)
C (0.068, 0.061, 0.691)
C (0.068, 0.439, 0.191)
C (0.108, 0.074, 0.825)
C (0.108, 0.426, 0.325)
C (0.260, 0.161, 0.920)
C (0.260, 0.339, 0.420)
C (0.334, 0.173, 0.053)
C (0.334, 0.327, 0.553)
C (0.474, 0.741, 0.852)
C (0.474, 0.759, 0.352)
C (0.526, 0.241, 0.648)
C (0.526, 0.259, 0.148)
C (0.666, 0.673, 0.447)
C (0.666, 0.827, 0.947)
C (0.740, 0.661, 0.580)
C (0.740, 0.839, 0.080)
C (0.892, 0.574, 0.675)
C (0.892, 0.926, 0.175)
C (0.932, 0.561, 0.809)
C (0.932, 0.939, 0.309)
N (0.001, 0.501, 0.653)
N (0.001, 0.999, 0.153)
N (0.251, 0.113, 0.101)
N (0.251, 0.387, 0.601)
N (0.749, 0.613, 0.399)
N (0.749, 0.887, 0.899)
N (0.999, 0.001, 0.847)
N (0.999, 0.499, 0.347)
F (0.019, 0.668, 0.886)
F (0.019, 0.832, 0.386)
F (0.066, 0.037, 0.384)
F (0.066, 0.463, 0.884)
F (0.248, 0.036, 0.709)
F (0.248, 0.464, 0.209)
F (0.310, 0.719, 0.346)
F (0.310, 0.781, 0.846)
F (0.352, 0.236, 0.880)
F (0.352, 0.264, 0.380)
F (0.409, 0.743, 0.723)
F (0.409, 0.757, 0.223)
F (0.484, 0.118, 0.606)
F (0.484, 0.382, 0.106)
F (0.516, 0.618, 0.894)
F (0.516, 0.882, 0.394)
F (0.591, 0.243, 0.777)
F (0.591, 0.257, 0.277)
F (0.648, 0.736, 0.620)
F (0.648, 0.764, 0.120)
F (0.690, 0.219, 0.154)
F (0.690, 0.281, 0.654)
F (0.752, 0.536, 0.791)
F (0.752, 0.964, 0.291)
F (0.934, 0.537, 0.116)
F (0.934, 0.963, 0.616)
F (0.981, 0.168, 0.614)
F (0.981, 0.332, 0.114)

**E**: -397.195 eV for the cell shown
**Formation enthalpy at 0 K**: -1.059 eV/atom
**V**: 12.84 Å³/atom